Entry 1:
The following is a PBE calculation of TbF4 after structural relaxation, from Materials Project.

- uncorrected energy (eV/atom) = -5.64
- crystal system = monoclinic
- ΔH_f (0 K) (eV per atom) = -3.556
- SG = C2/c (15)

Geometry as extended XYZ:
```
30
Lattice="5.6647 6.1767 0.0000 -5.6647 6.1767 0.0000 0.0000 4.3248 6.7491" Properties=species:S:1:pos:R:3 pbc="T T T"
Tb -0.7710 11.4849 4.3284
Tb 0.7710 5.1932 2.4207
Tb -0.7710 7.3556 5.7953
Tb 0.7710 9.3225 0.9538
Tb 3.4132 9.4203 5.0618
Tb -3.4132 7.2579 1.6873
F 0.4714 6.4400 4.2250
F -0.4714 10.2382 2.5241
F 0.4714 12.4006 5.8987
F -0.4714 4.2776 0.8504
F -0.5803 14.8946 6.3454
F 0.5803 1.7835 0.4037
F -0.5803 3.9459 3.7783
F 0.5803 12.7322 2.9708
F -1.1344 9.4203 5.0618
F 1.1344 7.2579 1.6873
F 2.8323 5.2507 3.3746
F -2.8323 3.0883 0.0000
F 1.5225 8.1390 5.6167
F -1.5225 8.5391 1.1324
F 1.5225 10.7015 4.5069
F -1.5225 5.9766 2.2422
F -2.1889 11.6018 6.4180
F 2.1889 5.0764 0.3311
F -2.1889 7.2388 3.7057
F 2.1889 9.4394 3.0434
F 3.9362 7.3818 4.2875
F -3.9362 9.2963 2.4616
F 3.9362 11.4587 5.8362
F -3.9362 5.2194 0.9129
```

=====

Entry 2:
The following is a PBE calculation of TbF3 after structural relaxation, from Materials Project.

- uncorrected energy (eV/atom) = -6.71
- crystal system = orthorhombic
- ΔH_f (0 K) (eV per atom) = -4.465
- SG = Pnma (62)

Geometry as extended XYZ:
```
16
Lattice="4.4460 0.0000 0.0000 0.0000 6.4648 0.0000 0.0000 0.0000 6.9655" Properties=species:S:1:pos:R:3 pbc="T T T"
Tb 4.1728 4.0820 5.2242
Tb 1.9498 5.6152 1.7414
Tb 2.4961 0.8496 5.2242
Tb 0.2732 2.3828 1.7414
F 1.6810 1.0620 3.0427
F 3.9039 2.1704 3.9229
F 0.5420 4.2944 0.4401
F 2.7650 5.4028 6.5255
F 2.6164 3.3786 1.7414
F 0.3934 6.3186 5.2242
F 4.0525 0.1462 1.7414
F 1.8296 3.0862 5.2242
F 1.6810 1.0620 0.4401
F 3.9039 2.1704 6.5255
F 0.5420 4.2944 3.0427
F 2.7650 5.4028 3.9229
```

=====

Entry 3:
The following is a PBE calculation of Tb4F15 after structural relaxation, from Materials Project.

- uncorrected energy (eV/atom) = -5.85
- crystal system = trigonal
- ΔH_f (0 K) (eV per atom) = -3.723
- SG = R-3c (167)

Geometry as extended XYZ:
```
38
Lattice="5.5943 -6.5414 0.0000 5.5943 6.5414 0.0000 -2.0547 0.0000 8.3585" Properties=species:S:1:pos:R:3 pbc="T T T"
Tb 2.2834 0.0000 2.0896
Tb 4.5705 3.7069 2.6470
Tb 3.5431 2.8345 6.8262
Tb 7.8777 0.8724 2.0896
Tb 6.8503 0.0000 6.2689
Tb 1.2561 -0.8724 6.2689
Tb 5.5906 -2.8345 1.5323
Tb 4.5632 -3.7069 5.7115
F 7.8777 -2.7675 2.0896
F 5.5538 -3.0904 3.7871
F 5.3034 1.5715 6.0765
F 2.7793 0.7177 6.8189
F 2.8079 4.9742 6.4558
F 3.4625 -4.6545 3.8577
F 9.4010 -0.7177 2.6397
F 0.5144 0.0042 8.2531
F 2.8030 -4.9699 6.4612
F 5.3656 4.1687 7.0493
F 1.9977 0.0042 4.2846
F 6.3930 2.3727 2.8701
F 2.4352 -1.8870 8.0370
F 3.8353 1.5673 2.2766
F 4.6074 3.4511 0.3921
F 4.5264 -3.4511 7.9664
F 5.2985 -1.5673 6.0819
F 6.6986 1.8870 0.3215
F 2.7408 -2.3727 5.4884
F 7.1360 -0.0042 4.0739
F 3.7682 -4.1687 1.3091
F 6.3308 4.9699 1.8972
F 8.6194 -0.0042 0.1054
F -0.2672 0.7177 5.7188
F 5.6712 4.6545 4.5007
F 6.3258 -4.9742 1.9027
F 6.3544 -0.7177 1.5396
F 3.8304 -1.5715 2.2820
F 3.5800 3.0904 4.5714
F 1.2561 2.7675 6.2689
```

=====

Entry 4:
The following is a PBE calculation of TbZrF7 after structural relaxation, from Materials Project.

- uncorrected energy (eV/atom) = -6.83
- crystal system = monoclinic
- ΔH_f (0 K) (eV per atom) = -4.232
- SG = P2_1 (4)

Geometry as extended XYZ:
```
18
Lattice="4.5393 3.4028 0.8707 2.8523 -4.5671 2.9788 2.4626 -1.2737 -7.8604" Properties=species:S:1:pos:R:3 pbc="T T T"
Tb 6.7181 -1.4911 -2.8184
Tb 2.6567 -1.3062 -1.2844
Zr 6.0751 -1.5852 1.2743
Zr 3.3891 -1.1451 -5.3600
F 6.5123 0.3448 -1.6219
F 4.6138 -1.8293 -2.1451
F 6.4679 -3.7545 -2.9118
F 4.9882 2.5174 -0.7918
F 8.8947 -2.1350 -2.2910
F 2.7257 1.0210 -1.3811
F 7.7534 0.2962 -3.9555
F 4.3198 -1.0707 0.3702
F 7.7468 -2.2947 -4.8049
F 1.6846 -0.4601 0.7129
F 6.8420 -2.1095 -0.5403
F 2.6545 -0.5966 -3.5392
F 5.2858 -1.0152 -4.5777
F 2.3213 -3.1072 0.1358
```

=====

Entry 5:
The following is a PBE calculation of TcF3 after structural relaxation, from Materials Project.

- uncorrected energy (eV/atom) = -5.40
- crystal system = orthorhombic
- ΔH_f (0 K) (eV per atom) = -1.724
- SG = Amm2 (38)

Geometry as extended XYZ:
```
8
Lattice="3.3468 -5.8236 0.0000 3.3468 5.8236 0.0000 0.0000 0.0000 3.0703" Properties=species:S:1:pos:R:3 pbc="T T T"
Tc 3.3468 1.9386 1.5352
Tc 3.3468 -1.7284 0.0000
F 3.3468 3.3091 0.0000
F 2.1287 1.2198 0.0000
F 4.5650 1.2198 0.0000
F 3.3468 -3.3662 1.5352
F 4.6783 -1.2862 1.5352
F 2.0154 -1.2862 1.5352
```

=====

Entry 6:
The following is a PBE calculation of TeF6 after structural relaxation, from Materials Project.

- uncorrected energy (eV/atom) = -4.08
- crystal system = orthorhombic
- ΔH_f (0 K) (eV per atom) = -2.386
- SG = Pnma (62)

Geometry as extended XYZ:
```
28
Lattice="5.2811 0.0000 0.0000 0.0000 9.0641 0.0000 0.0000 0.0000 10.1102" Properties=species:S:1:pos:R:3 pbc="T T T"
Te 3.1537 6.7980 6.3461
Te 0.5131 2.2660 8.8192
Te 2.1275 2.2660 3.7641
Te 4.7680 6.7980 1.2910
F 2.9299 3.5834 2.7171
F 0.2893 5.4806 2.3380
F 2.3512 8.1155 7.3931
F 4.9918 0.9486 7.7722
F 0.9638 6.7980 0.1521
F 3.6043 2.2660 4.9030
F 4.3173 2.2660 9.9581
F 1.6768 6.7980 5.2072
F 3.2879 6.7980 2.4273
F 0.6473 2.2660 2.6278
F 1.9932 2.2660 7.6829
F 4.6338 6.7980 7.4824
F 3.9609 8.1167 0.2478
F 1.3203 0.9474 4.8074
F 1.3202 3.5847 9.8625
F 3.9608 5.4794 5.3029
F 1.3202 0.9474 9.8625
F 3.9608 8.1167 5.3029
F 3.9609 5.4794 0.2478
F 1.3203 3.5847 4.8074
F 0.2893 8.1155 2.3380
F 2.9299 0.9486 2.7171
F 4.9918 3.5834 7.7722
F 2.3512 5.4806 7.3931
```

=====

Entry 7:
The following is a PBE calculation of TeF6 after structural relaxation, from Materials Project.

- uncorrected energy (eV/atom) = -4.08
- crystal system = trigonal
- ΔH_f (0 K) (eV per atom) = -2.385
- SG = R-3 (148)

Geometry as extended XYZ:
```
7
Lattice="-2.9450 -3.6583 -3.2349 2.3438 -4.7219 -2.1751 -1.4123 -5.2207 1.8085" Properties=species:S:1:pos:R:3 pbc="T T T"
Te 0.0000 0.0000 0.0000
F -0.7135 -6.0473 0.2902
F -2.4464 -5.1301 -2.2046
F -2.7023 -8.0865 -1.0958
F 0.4330 -8.4708 -1.3971
F -1.3000 -7.5537 -3.8919
F 0.6888 -5.5145 -2.5058
```